A relaxed structure of Li6MnFe5B6O18, computed with PBE+U.

Lattice parameters (Å, degrees): 3.1367 8.2529 14.2602 89.94 90.00 90.00
Closest atoms and distances in Å follow each position.
Fractional coordinates of all 36 atoms:
Li 0.5000 0.7063 0.9903  4 O 1.98-2.01
Li 0.5000 0.6592 0.3575  4 O 1.98-2.01
Li 0.5000 0.6339 0.6512  4 O 1.98-2.01
Li 0.5000 0.2067 0.4919  4 O 1.97-2.01
Li 0.5000 0.1599 0.8572  4 O 1.98-2.00
Li 0.5000 0.1349 0.1507  4 O 1.96-2.01
Mn 0.0000 0.8082 0.1798  5 O 2.09-2.18
Fe 0.0000 0.8631 0.5043  5 O 2.03-2.17
Fe 0.0000 0.8250 0.8161  5 O 2.04-2.17
Fe 0.0000 0.3622 0.0038  5 O 2.03-2.17
Fe 0.0000 0.3246 0.3165  5 O 2.03-2.17
Fe 0.0000 0.3115 0.6799  5 O 2.04-2.17
B 0.5000 0.0001 0.6666  3 O 1.39
B 0.0000 0.0015 0.9998  3 O 1.38-1.40
B 0.5000 0.0011 0.3345  3 O 1.39
B 0.5000 0.4977 0.1662  3 O 1.39-1.40
B 0.0000 0.5001 0.5002  3 O 1.39
B 0.5000 0.5001 0.8333  3 O 1.39
O 0.5000 0.9896 0.4318  1 B 1.39
O 0.5000 0.9825 0.7639  1 B 1.39
O 0.5000 0.8633 0.6094  1 B 1.39
O 0.5000 0.8611 0.2807  1 B 1.39
O 0.0000 0.8483 0.9582  1 B 1.40
O 0.5000 0.6514 0.1252  1 B 1.40
O 0.5000 0.6521 0.7909  1 B 1.39
O 0.0000 0.6392 0.4449  1 B 1.39
O 0.0000 0.5129 0.5975  1 B 1.39
O 0.5000 0.4875 0.9305  1 B 1.39
O 0.5000 0.4823 0.2635  1 B 1.39
O 0.5000 0.3612 0.1092  1 B 1.39
O 0.5000 0.3608 0.7785  1 B 1.39
O 0.0000 0.3480 0.4581  1 B 1.39
O 0.5000 0.1546 0.6270  1 B 1.39
O 0.5000 0.1524 0.2912  1 B 1.39
O 0.0000 0.1395 0.9433  1 B 1.39
O 0.0000 0.0172 0.0964  1 B 1.38

- SG = Pm (6)
- M_tot (μB per formula unit) = 25.000

---

A relaxed structure of Li2MnFeB2O6, computed with PBE+U.

Lattice parameters (Å, degrees): 5.1802 5.9956 9.1331 104.10 89.90 113.23
Closest atoms and distances in Å follow each position.
Fractional coordinates of all 24 atoms:
Li 0.2543 0.6751 0.1860  4 O 1.95-2.04
Li 0.2455 0.3248 0.3141  4 O 1.95-2.04
Li 0.7567 0.6779 0.6887  4 O 1.93-2.05
Li 0.7434 0.3225 0.8114  4 O 1.94-2.04
Mn 0.7127 0.2344 0.1230  4 O 2.08-2.21
Mn 0.7875 0.7658 0.3770  4 O 2.08-2.21
Fe 0.2159 0.2397 0.6301  4 O 2.01-2.18
Fe 0.2856 0.7611 0.8701  4 O 2.01-2.18
B 0.7719 0.7361 0.0371  3 O 1.38-1.41
B 0.7281 0.2637 0.4627  3 O 1.38-1.40
B 0.2742 0.7422 0.5407  3 O 1.38-1.40
B 0.2255 0.2576 0.9592  3 O 1.38-1.40
O 0.5528 0.8192 0.0613  1 B 1.41
O 0.9469 0.1806 0.4387  1 B 1.40
O 0.0613 0.8302 0.5694  1 B 1.40
O 0.4388 0.1699 0.9306  1 B 1.40
O 0.3611 0.7031 0.3971  1 B 1.38
O 0.1388 0.2967 0.1029  1 B 1.38
O 0.8833 0.6791 0.1547  1 B 1.39
O 0.6166 0.3209 0.3452  1 B 1.39
O 0.3887 0.6844 0.6575  1 B 1.40
O 0.1107 0.3151 0.8425  1 B 1.40
O 0.8684 0.7021 0.8959  1 B 1.38
O 0.6314 0.2978 0.6039  1 B 1.38

- SG = P-1 (2)
- M_tot (μB per formula unit) = 0.000

---

A relaxed structure of Li4Mn3FeB4O12, computed with PBE+U.

Lattice parameters (Å, degrees): 5.2320 6.0398 16.2522 82.11 88.93 89.36
Closest atoms and distances in Å follow each position.
Fractional coordinates of all 48 atoms:
Li 0.8495 0.0621 0.3899  4 O 1.96-2.04
Li 0.1504 0.4361 0.1099  4 O 1.94-2.05
Li 0.6504 0.1870 0.8595  4 O 1.94-2.05
Li 0.3480 0.3127 0.6396  4 O 1.96-2.04
Li 0.6508 0.6870 0.3586  4 O 1.94-2.06
Li 0.3504 0.8128 0.1419  4 O 1.94-2.04
Li 0.8488 0.5631 0.8914  4 O 1.94-2.04
Li 0.1509 0.9386 0.6082  4 O 1.94-2.04
Mn 0.6674 0.2728 0.0411  4 O 2.08-2.20
Mn 0.1671 0.0247 0.7899  4 O 2.08-2.20
Mn 0.1671 0.5229 0.2910  4 O 2.08-2.22
Mn 0.8327 0.4756 0.7105  4 O 2.08-2.21
Mn 0.6657 0.7734 0.5399  4 O 2.07-2.20
Mn 0.3326 0.7244 0.9603  4 O 2.08-2.20
Fe 0.3389 0.2256 0.4603  4 O 2.00-2.19
Fe 0.8292 0.9755 0.2112  4 O 2.03-2.19
B 0.3291 0.0356 0.2974  3 O 1.39-1.40
B 0.8295 0.2872 0.5465  3 O 1.38-1.40
B 0.6704 0.4642 0.2025  3 O 1.38-1.40
B 0.1697 0.2148 0.9522  3 O 1.38-1.41
B 0.8318 0.7850 0.0491  3 O 1.38-1.40
B 0.3301 0.5353 0.7980  3 O 1.38-1.40
B 0.1701 0.7141 0.4522  3 O 1.39-1.40
B 0.6692 0.9656 0.7017  3 O 1.38-1.41
O 0.5911 0.0159 0.3084  1 B 1.39
O 0.1866 0.1667 0.3464  1 B 1.40
O 0.7075 0.1736 0.4890  1 B 1.40
O 0.2869 0.3331 0.0086  1 B 1.39
O 0.7858 0.0833 0.7583  1 B 1.39
O 0.8191 0.3272 0.1571  1 B 1.40
O 0.3194 0.0794 0.9061  1 B 1.41
O 0.0894 0.2631 0.5582  1 B 1.38
O 0.4108 0.4859 0.1891  1 B 1.38
O 0.9100 0.2362 0.9387  1 B 1.38
O 0.6821 0.4194 0.5941  1 B 1.40
O 0.2145 0.4172 0.7410  1 B 1.39
O 0.7881 0.5825 0.2588  1 B 1.39
O 0.3201 0.5776 0.4067  1 B 1.40
O 0.0919 0.7636 0.0622  1 B 1.38
O 0.5897 0.5146 0.8120  1 B 1.38
O 0.9100 0.7363 0.4383  1 B 1.39
O 0.6828 0.9184 0.0958  1 B 1.40
O 0.1792 0.6701 0.8437  1 B 1.40
O 0.2063 0.9216 0.2409  1 B 1.39
O 0.7134 0.6690 0.9921  1 B 1.39
O 0.2863 0.8325 0.5086  1 B 1.39
O 0.8195 0.8305 0.6556  1 B 1.41
O 0.4096 0.9864 0.6878  1 B 1.38

- SG = P1 (1)
- M_tot (μB per formula unit) = 19.000

---

A relaxed structure of Li4MnFe3B4O12, computed with PBE+U.

Lattice parameters (Å, degrees): 5.2412 6.0103 8.9963 102.50 90.84 113.84
Closest atoms and distances in Å follow each position.
Fractional coordinates of all 24 atoms:
Li 0.5926 0.3238 0.9672  4 O 1.95-2.06
Li 0.0922 0.3256 0.4662  4 O 1.92-2.05
Li 0.9067 0.6727 0.5332  4 O 1.94-2.03
Li 0.4120 0.6788 0.0349  4 O 1.94-2.05
Mn 0.0404 0.2281 0.7923  4 O 2.07-2.19
Fe 0.5363 0.2291 0.2902  4 O 2.03-2.17
Fe 0.9502 0.7614 0.2082  4 O 1.99-2.21
Fe 0.4470 0.7608 0.7059  4 O 2.00-2.21
B 0.5538 0.2613 0.6301  3 O 1.38-1.41
B 0.9467 0.7400 0.8684  3 O 1.38-1.40
B 0.0564 0.2611 0.1341  3 O 1.38-1.41
B 0.4484 0.7439 0.3671  3 O 1.38-1.40
O 0.6198 0.1746 0.7522  1 B 1.41
O 0.7221 0.2960 0.5127  1 B 1.38
O 0.8217 0.3151 0.1387  1 B 1.39
O 0.3225 0.3204 0.6328  1 B 1.39
O 0.1290 0.1755 0.2548  1 B 1.41
O 0.7836 0.7041 0.9875  1 B 1.38
O 0.2234 0.2993 0.0164  1 B 1.38
O 0.8691 0.8177 0.7457  1 B 1.40
O 0.6849 0.6914 0.3654  1 B 1.40
O 0.1854 0.6908 0.8662  1 B 1.40
O 0.2833 0.7054 0.4852  1 B 1.38
O 0.3725 0.8233 0.2446  1 B 1.40

- SG = P1 (1)
- M_tot (μB per formula unit) = 17.001

---

| no. | E (MP2020) (eV/cell) | energy of formation (meV/atom) |
| --- | --- | --- |
| 1 | -276.92 | -2356 |
| 2 | -187.02 | -2418 |
| 3 | -377.52 | -2461 |
| 4 | -185.25 | -2373 |